Computed, not measured: a relaxed YI3O9 crystal at the PBE level of DFT.

Size of the total moment   0.000 μB per cell
SG   P2_1/c, No. 14
DFT total energy   -5.269 eV per atom
Polymorph energy (0 for the lowest one)   0.012 eV/atom
Formation energy   -1843 kJ/mol of formula units

Cell and atoms, written as POSCAR:
```
YI3O9
1.0
7.217 0.000 0.000
0.000 8.631 0.000
-2.401 0.000 13.354
Y I O
4 12 36
direct
0.171 0.245 0.146
0.171 0.255 0.646
0.829 0.745 0.354
0.829 0.755 0.854
0.164 0.705 0.109
0.164 0.795 0.609
0.267 0.021 0.890
0.267 0.479 0.390
0.333 0.544 0.856
0.333 0.956 0.356
0.667 0.044 0.644
0.667 0.456 0.144
0.733 0.521 0.610
0.733 0.979 0.110
0.836 0.205 0.391
0.836 0.295 0.891
0.020 0.530 0.388
0.020 0.970 0.888
0.035 0.168 0.491
0.035 0.332 0.991
0.149 0.692 0.822
0.149 0.808 0.322
0.156 0.526 0.181
0.156 0.974 0.681
0.225 0.209 0.824
0.225 0.291 0.324
0.322 0.080 0.020
0.322 0.420 0.520
0.338 0.033 0.230
0.338 0.467 0.730
0.362 0.665 0.045
0.362 0.835 0.545
0.468 0.174 0.639
0.468 0.326 0.139
0.532 0.674 0.861
0.532 0.826 0.361
0.638 0.165 0.455
0.638 0.335 0.955
0.662 0.533 0.270
0.662 0.967 0.770
0.678 0.580 0.480
0.678 0.920 0.980
0.775 0.709 0.676
0.775 0.791 0.176
0.844 0.026 0.319
0.844 0.474 0.819
0.851 0.192 0.678
0.851 0.308 0.178
0.965 0.668 0.009
0.965 0.832 0.509
0.980 0.030 0.112
0.980 0.470 0.612
```

Computed, not measured: a relaxed YI3O9 crystal at the PBE level of DFT.

SG   P2_1/c, No. 14
DFT total energy   -5.281 eV per atom
Polymorph energy (0 for the lowest one)   0.000 eV/atom
Formation energy   -1859 kJ/mol of formula units

Cell and atoms, written as POSCAR:
```
YI3O9
1.0
8.817 0.000 0.000
0.000 6.152 0.000
-7.031 0.000 15.217
Y I O
4 12 36
direct
0.147 0.214 0.105
0.147 0.286 0.605
0.853 0.714 0.395
0.853 0.786 0.895
0.074 0.189 0.358
0.074 0.311 0.858
0.355 0.644 0.520
0.355 0.856 0.020
0.418 0.594 0.802
0.418 0.906 0.302
0.582 0.094 0.698
0.582 0.406 0.198
0.645 0.144 0.980
0.645 0.356 0.480
0.926 0.689 0.142
0.926 0.811 0.642
0.059 0.052 0.687
0.059 0.448 0.187
0.094 0.605 0.670
0.094 0.895 0.170
0.116 0.130 0.472
0.116 0.370 0.972
0.126 0.628 0.485
0.126 0.872 0.985
0.341 0.582 0.889
0.341 0.918 0.389
0.344 0.177 0.256
0.344 0.323 0.756
0.353 0.070 0.941
0.353 0.430 0.441
0.363 0.011 0.635
0.363 0.489 0.135
0.390 0.028 0.116
0.390 0.472 0.616
0.610 0.528 0.384
0.610 0.972 0.884
0.637 0.511 0.865
0.637 0.989 0.365
0.647 0.570 0.559
0.647 0.930 0.059
0.656 0.677 0.244
0.656 0.823 0.744
0.659 0.082 0.611
0.659 0.418 0.111
0.874 0.128 0.015
0.874 0.372 0.515
0.884 0.630 0.028
0.884 0.870 0.528
0.906 0.105 0.830
0.906 0.395 0.330
0.941 0.552 0.813
0.941 0.948 0.313
```

Computed, not measured: a relaxed Y3I7O crystal at the PBE level of DFT.

Size of the total moment   0.003 μB per cell
SG   P6_3mc, No. 186
DFT total energy   -4.900 eV per atom
Formation energy   -1888 kJ/mol of formula units

Cell and atoms, written as POSCAR:
```
Y3I7O
1.0
8.385 0.000 0.000
-4.193 7.262 0.000
0.000 0.000 14.890
Y I O
6 14 2
direct
0.147 0.294 0.000
0.147 0.853 0.000
0.294 0.147 0.500
0.706 0.853 0.000
0.853 0.147 0.500
0.853 0.706 0.500
0.001 0.500 0.615
0.170 0.341 0.369
0.170 0.830 0.369
0.333 0.667 0.882
0.341 0.170 0.869
0.500 0.001 0.115
0.500 0.500 0.115
0.500 0.500 0.615
0.500 0.999 0.615
0.659 0.830 0.369
0.667 0.333 0.382
0.830 0.170 0.869
0.830 0.659 0.869
0.999 0.500 0.115
0.000 0.000 0.037
0.000 0.000 0.537
```

Computed, not measured: a relaxed YIO9 crystal at the PBE level of DFT.

Size of the total moment   0.002 μB per cell
SG   P2_1/c, No. 14
DFT total energy   -5.250 eV per atom
Formation energy   -505 kJ/mol of formula units

Cell and atoms, written as POSCAR:
```
YIO9
1.0
7.346 0.000 0.000
0.000 10.719 0.000
-6.649 0.000 9.031
Y I O
4 4 36
direct
0.164 0.105 0.174
0.164 0.395 0.674
0.836 0.605 0.326
0.836 0.895 0.826
0.081 0.694 0.741
0.081 0.806 0.241
0.919 0.194 0.759
0.919 0.306 0.259
0.015 0.091 0.929
0.015 0.409 0.429
0.145 0.724 0.409
0.145 0.776 0.909
0.180 0.090 0.622
0.180 0.410 0.122
0.205 0.238 0.362
0.205 0.262 0.862
0.211 0.546 0.844
0.211 0.954 0.344
0.261 0.704 0.217
0.261 0.796 0.717
0.336 0.011 0.661
0.336 0.489 0.161
0.416 0.245 0.172
0.416 0.255 0.672
0.470 0.532 0.707
0.470 0.968 0.207
0.530 0.032 0.793
0.530 0.468 0.293
0.584 0.745 0.328
0.584 0.755 0.828
0.664 0.511 0.839
0.664 0.989 0.339
0.739 0.204 0.283
0.739 0.296 0.783
0.789 0.046 0.656
0.789 0.454 0.156
0.795 0.738 0.138
0.795 0.762 0.638
0.820 0.590 0.878
0.820 0.910 0.378
0.855 0.224 0.091
0.855 0.276 0.591
0.985 0.591 0.571
0.985 0.909 0.071
```